# 1
Here is a relaxed structure of BaTl3Au from the Materials Project. Energies are from GGA-PBE.

a = 5.062 Å, b = 5.062 Å, c = 7.208 Å
α = 69.44°, β = 69.44°, γ = 90.00°
Fractional coordinates of all 5 atoms:
1 Ba 0.005 0.005 0.991
2 Tl 0.742 0.242 0.517
3 Tl 0.242 0.742 0.517
4 Tl 0.394 0.394 0.212
5 Au 0.618 0.618 0.764

Output
crystal system: tetragonal
spin magnetization: 0.00 Bohr magnetons per cell
space-group type: I4mm
volume: 32.1 A^3/atom



# 2
Here is a relaxed structure of LuI3O10 from the Materials Project. Energies are from GGA-PBE.

a = 10.602 Å, b = 7.637 Å, c = 13.347 Å
α = 66.08°, β = 90.00°, γ = 90.00°
Fractional coordinates of all 56 atoms:
1 Lu 0.701 0.872 0.631
2 Lu 0.201 0.128 0.869
3 Lu 0.299 0.128 0.369
4 Lu 0.799 0.872 0.131
5 I 0.296 0.647 0.659
6 I 0.796 0.353 0.841
7 I 0.704 0.353 0.341
8 I 0.204 0.647 0.159
9 I 0.923 0.793 0.872
10 I 0.423 0.207 0.628
11 I 0.077 0.207 0.128
12 I 0.577 0.793 0.372
13 I 0.507 0.815 0.947
14 I 0.007 0.185 0.553
15 I 0.493 0.185 0.053
16 I 0.993 0.815 0.447
17 O 0.720 0.228 0.645
18 O 0.220 0.772 0.855
19 O 0.280 0.772 0.355
20 O 0.780 0.228 0.145
21 O 0.907 0.960 0.598
22 O 0.407 0.040 0.902
23 O 0.093 0.040 0.402
24 O 0.593 0.960 0.098
25 O 0.789 0.587 0.702
26 O 0.289 0.413 0.798
27 O 0.211 0.413 0.298
28 O 0.711 0.587 0.202
29 O 0.770 0.860 0.803
30 O 0.270 0.140 0.697
31 O 0.230 0.140 0.197
32 O 0.730 0.860 0.303
33 O 0.682 0.120 0.480
34 O 0.182 0.880 0.020
35 O 0.318 0.880 0.520
36 O 0.818 0.120 0.980
37 O 0.624 0.732 0.514
38 O 0.124 0.268 0.986
39 O 0.376 0.268 0.486
40 O 0.876 0.732 0.014
41 O 0.559 0.602 0.737
42 O 0.059 0.398 0.763
43 O 0.441 0.398 0.263
44 O 0.941 0.602 0.237
45 O 0.507 0.977 0.673
46 O 0.007 0.023 0.827
47 O 0.493 0.023 0.327
48 O 0.993 0.977 0.173
49 O 0.791 0.364 0.587
50 O 0.291 0.636 0.913
51 O 0.209 0.636 0.413
52 O 0.709 0.364 0.087
53 O 0.073 0.542 0.671
54 O 0.573 0.458 0.829
55 O 0.927 0.458 0.329
56 O 0.427 0.542 0.171

Output
crystal system: monoclinic
energy above the most stable polymorph in this dataset: 534 meV/atom
spin magnetization: 8.00 Bohr magnetons per cell
space-group type: P2_1/c
volume: 17.6 A^3/atom
E (MP2020): -4.890 eV/atom



# 3
Here is a relaxed structure of AuI3N from the Materials Project. Energies are from GGA-PBE.

a = 10.079 Å, b = 7.626 Å, c = 12.791 Å
α = 54.37°, β = 90.00°, γ = 90.00°
Fractional coordinates of all 20 atoms:
1 Au 0.000 0.000 0.000
2 Au 0.500 0.000 0.500
3 Au 0.000 0.500 0.500
4 Au 0.500 0.500 0.000
5 I 0.348 0.239 0.539
6 I 0.652 0.761 0.461
7 I 0.848 0.761 0.961
8 I 0.152 0.239 0.039
9 I 0.045 0.362 0.752
10 I 0.955 0.638 0.248
11 I 0.545 0.638 0.748
12 I 0.455 0.362 0.252
13 I 0.356 0.816 0.968
14 I 0.644 0.184 0.032
15 I 0.856 0.184 0.532
16 I 0.144 0.816 0.468
17 N 0.616 0.178 0.748
18 N 0.384 0.822 0.252
19 N 0.116 0.822 0.752
20 N 0.884 0.178 0.248

Output
crystal system: monoclinic
spin magnetization: 0.00 Bohr magnetons per cell
space-group type: P2_1/c
volume: 40.0 A^3/atom
E (MP2020): -2.286 eV/atom



# 4
Here is a relaxed structure of Li2FeS2 from the Materials Project. Energies are from GGA-PBE.

a = 3.886 Å, b = 3.886 Å, c = 6.214 Å
α = 90.00°, β = 90.00°, γ = 120.00°
Fractional coordinates of all 5 atoms:
1 Li 0.000 0.000 0.347
2 Li 0.667 0.333 0.032
3 Fe 0.333 0.667 0.625
4 S 0.000 0.000 0.748
5 S 0.333 0.667 0.249

Output
crystal system: trigonal
energy above the most stable polymorph in this dataset: 59 meV/atom
spin magnetization: 4.00 Bohr magnetons per cell
space-group type: P3m1
volume: 16.3 A^3/atom
E (MP2020): -5.142 eV/atom



# 5
Here is a relaxed structure of SiO2 from the Materials Project. Energies are from GGA-PBE.

a = 17.491 Å, b = 17.491 Å, c = 21.669 Å
α = 90.00°, β = 90.00°, γ = 162.63°
Fractional coordinates of all 96 atoms:
1 Si 0.937 0.063 0.981
2 Si 0.063 0.937 0.019
3 Si 0.937 0.063 0.519
4 Si 0.063 0.937 0.481
5 Si 0.301 0.699 0.993
6 Si 0.699 0.301 0.007
7 Si 0.301 0.699 0.507
8 Si 0.699 0.301 0.493
9 Si 0.620 0.380 0.860
10 Si 0.380 0.620 0.140
11 Si 0.620 0.380 0.640
12 Si 0.380 0.620 0.360
13 Si 0.223 0.777 0.932
14 Si 0.777 0.223 0.068
15 Si 0.223 0.777 0.568
16 Si 0.777 0.223 0.432
17 Si 0.985 0.015 0.399
18 Si 0.015 0.985 0.601
19 Si 0.985 0.015 0.101
20 Si 0.015 0.985 0.899
21 Si 0.611 0.389 0.008
22 Si 0.389 0.611 0.992
23 Si 0.611 0.389 0.492
24 Si 0.389 0.611 0.508
25 Si 0.169 0.831 0.823
26 Si 0.831 0.169 0.177
27 Si 0.169 0.831 0.677
28 Si 0.831 0.169 0.323
29 Si 0.533 0.467 0.821
30 Si 0.467 0.533 0.179
31 Si 0.533 0.467 0.679
32 Si 0.467 0.533 0.321
33 O 0.949 0.051 0.053
34 O 0.051 0.949 0.947
35 O 0.949 0.051 0.447
36 O 0.051 0.949 0.553
37 O 0.661 0.839 0.966
38 O 0.839 0.661 0.034
39 O 0.161 0.339 0.534
40 O 0.339 0.161 0.466
41 O 0.339 0.161 0.034
42 O 0.161 0.339 0.966
43 O 0.839 0.661 0.466
44 O 0.661 0.839 0.534
45 O 0.975 0.025 0.937
46 O 0.025 0.975 0.063
47 O 0.975 0.025 0.563
48 O 0.025 0.975 0.437
49 O 0.545 0.955 0.035
50 O 0.955 0.545 0.965
51 O 0.045 0.455 0.465
52 O 0.455 0.045 0.535
53 O 0.455 0.045 0.965
54 O 0.045 0.455 0.035
55 O 0.955 0.545 0.535
56 O 0.545 0.955 0.465
57 O 0.270 0.730 0.936
58 O 0.730 0.270 0.064
59 O 0.270 0.730 0.564
60 O 0.730 0.270 0.436
61 O 0.345 0.655 0.966
62 O 0.655 0.345 0.034
63 O 0.345 0.655 0.534
64 O 0.655 0.345 0.466
65 O 0.580 0.420 0.822
66 O 0.420 0.580 0.178
67 O 0.580 0.420 0.678
68 O 0.420 0.580 0.322
69 O 0.394 0.106 0.842
70 O 0.106 0.394 0.158
71 O 0.894 0.606 0.658
72 O 0.606 0.894 0.342
73 O 0.606 0.894 0.158
74 O 0.894 0.606 0.842
75 O 0.106 0.394 0.342
76 O 0.394 0.106 0.658
77 O 0.611 0.389 0.933
78 O 0.389 0.611 0.067
79 O 0.611 0.389 0.567
80 O 0.389 0.611 0.433
81 O 0.210 0.790 0.860
82 O 0.790 0.210 0.140
83 O 0.210 0.790 0.640
84 O 0.790 0.210 0.360
85 O 0.734 0.766 0.356
86 O 0.766 0.734 0.644
87 O 0.234 0.266 0.144
88 O 0.266 0.234 0.856
89 O 0.266 0.234 0.644
90 O 0.234 0.266 0.356
91 O 0.766 0.734 0.856
92 O 0.734 0.766 0.144
93 O 0.178 0.822 0.750
94 O 0.822 0.178 0.250
95 O 0.518 0.482 0.750
96 O 0.482 0.518 0.250

Output
crystal system: orthorhombic
spin magnetization: 0.00 Bohr magnetons per cell
space-group type: Cmcm
volume: 20.6 A^3/atom
E (MP2020): -8.355 eV/atom



# 6
Here is a relaxed structure of SrMnBi2 from the Materials Project. Energies are from GGA-PBE.

a = 4.655 Å, b = 11.783 Å, c = 9.235 Å
α = 101.42°, β = 89.99°, γ = 78.51°
Fractional coordinates of all 16 atoms:
1 Sr 0.882 0.240 0.561
2 Sr 0.882 0.239 0.061
3 Sr 0.122 0.761 0.440
4 Sr 0.122 0.760 0.939
5 Mn 0.250 0.500 0.627
6 Mn 0.752 0.499 0.371
7 Mn 0.249 0.501 0.128
8 Mn 0.753 0.499 0.872
9 Bi 0.979 0.000 0.750
10 Bi 0.979 0.000 0.250
11 Bi 0.513 0.000 0.001
12 Bi 0.513 0.000 0.501
13 Bi 0.678 0.645 0.659
14 Bi 0.676 0.646 0.160
15 Bi 0.325 0.354 0.340
16 Bi 0.326 0.354 0.841

Output
crystal system: triclinic
energy above the most stable polymorph in this dataset: 70 meV/atom
spin magnetization: 16.31 Bohr magnetons per cell
space-group type: P1
volume: 30.4 A^3/atom



# 7
Here is a relaxed structure of Bi from the Materials Project. Energies are from GGA-PBE.

a = 4.798 Å, b = 4.798 Å, c = 4.798 Å
α = 57.42°, β = 57.42°, γ = 57.42°
Fractional coordinates of all 2 atoms:
1 Bi 0.733 0.733 0.733
2 Bi 0.267 0.267 0.267

Output
crystal system: trigonal
energy above the most stable polymorph in this dataset: 0 meV/atom
space-group type: R-3m
volume: 36.7 A^3/atom



# 8
Here is a relaxed structure of NaZrP2O9 from the Materials Project. Energies are from GGA-PBE.

a = 5.526 Å, b = 9.168 Å, c = 15.720 Å
α = 85.92°, β = 90.00°, γ = 90.00°
Fractional coordinates of all 52 atoms:
1 Na 0.300 0.595 0.835
2 Na 0.800 0.405 0.665
3 Na 0.700 0.405 0.165
4 Na 0.200 0.595 0.335
5 Zr 0.749 0.751 0.480
6 Zr 0.249 0.249 0.020
7 Zr 0.251 0.249 0.520
8 Zr 0.751 0.751 0.980
9 P 0.746 0.064 0.605
10 P 0.246 0.936 0.895
11 P 0.254 0.936 0.395
12 P 0.754 0.064 0.105
13 P 0.246 0.598 0.603
14 P 0.746 0.402 0.897
15 P 0.754 0.402 0.397
16 P 0.254 0.598 0.103
17 O 0.752 0.952 0.538
18 O 0.252 0.048 0.962
19 O 0.248 0.048 0.462
20 O 0.748 0.952 0.038
21 O 0.961 0.168 0.603
22 O 0.461 0.832 0.897
23 O 0.039 0.832 0.397
24 O 0.539 0.168 0.103
25 O 0.509 0.148 0.609
26 O 0.009 0.852 0.891
27 O 0.491 0.852 0.391
28 O 0.991 0.148 0.109
29 O 0.008 0.666 0.563
30 O 0.508 0.334 0.937
31 O 0.992 0.334 0.437
32 O 0.492 0.666 0.063
33 O 0.776 0.570 0.408
34 O 0.276 0.430 0.092
35 O 0.224 0.430 0.592
36 O 0.724 0.570 0.908
37 O 0.463 0.656 0.546
38 O 0.963 0.344 0.954
39 O 0.537 0.344 0.454
40 O 0.037 0.656 0.046
41 O 0.780 0.971 0.701
42 O 0.280 0.029 0.799
43 O 0.220 0.029 0.299
44 O 0.720 0.971 0.201
45 O 0.776 0.375 0.805
46 O 0.276 0.625 0.695
47 O 0.224 0.625 0.195
48 O 0.724 0.375 0.305
49 O 0.710 0.830 0.701
50 O 0.210 0.170 0.799
51 O 0.290 0.170 0.299
52 O 0.790 0.830 0.201

Output
crystal system: monoclinic
spin magnetization: 4.15 Bohr magnetons per cell
space-group type: P2_1/c
volume: 15.3 A^3/atom
E (MP2020): -7.272 eV/atom



# 9
Here is a relaxed structure of SrSi from the Materials Project. Energies are from GGA-PBE.

a = 4.059 Å, b = 6.139 Å, c = 8.907 Å
α = 90.00°, β = 90.00°, γ = 90.00°
Fractional coordinates of all 8 atoms:
1 Sr 0.250 0.392 0.681
2 Sr 0.750 0.608 0.319
3 Sr 0.750 0.892 0.819
4 Sr 0.250 0.108 0.181
5 Si 0.250 0.893 0.532
6 Si 0.750 0.107 0.468
7 Si 0.750 0.393 0.968
8 Si 0.250 0.607 0.032

Output
crystal system: orthorhombic
space-group type: Pnma
volume: 27.7 A^3/atom
E (MP2020): -3.981 eV/atom



# 10
Here is a relaxed structure of CeSe2 from the Materials Project. Energies are from GGA-PBE.

a = 10.378 Å, b = 10.378 Å, c = 10.378 Å
α = 100.45°, β = 100.45°, γ = 129.58°
Fractional coordinates of all 24 atoms:
1 Ce 0.750 0.502 0.746
2 Ce 0.756 0.004 0.254
3 Ce 0.254 0.500 0.748
4 Ce 0.752 0.506 0.252
5 Ce 0.255 0.999 0.750
6 Ce 0.248 0.505 0.250
7 Ce 0.755 0.005 0.756
8 Ce 0.249 0.998 0.244
9 Se 0.101 0.352 0.943
10 Se 0.409 0.158 0.057
11 Se 0.408 0.851 0.249
12 Se 0.602 0.159 0.751
13 Se 0.900 0.653 0.055
14 Se 0.598 0.846 0.945
15 Se 0.096 0.650 0.747
16 Se 0.903 0.348 0.253
17 Se 0.409 0.660 0.558
18 Se 0.102 0.851 0.442
19 Se 0.101 0.159 0.249
20 Se 0.910 0.852 0.751
21 Se 0.403 0.342 0.746
22 Se 0.596 0.656 0.254
23 Se 0.906 0.153 0.561
24 Se 0.592 0.346 0.439

Output
crystal system: tetragonal
spin magnetization: 0.00 Bohr magnetons per cell
space-group type: I4_1
volume: 32.5 A^3/atom
E (MP2020): -6.102 eV/atom



# 11
Here is a relaxed structure of Sb2I9N3 from the Materials Project. Energies are from GGA-PBE.

a = 8.112 Å, b = 14.005 Å, c = 23.575 Å
α = 54.53°, β = 90.00°, γ = 90.00°
Fractional coordinates of all 56 atoms:
1 Sb 0.994 0.513 0.656
2 Sb 0.506 0.513 0.156
3 Sb 0.006 0.487 0.344
4 Sb 0.494 0.487 0.844
5 Sb 0.981 0.991 0.845
6 Sb 0.519 0.991 0.345
7 Sb 0.019 0.009 0.155
8 Sb 0.481 0.009 0.655
9 I 0.793 0.466 0.576
10 I 0.707 0.466 0.076
11 I 0.207 0.534 0.424
12 I 0.293 0.534 0.924
13 I 0.292 0.541 0.585
14 I 0.208 0.541 0.085
15 I 0.708 0.459 0.415
16 I 0.792 0.459 0.915
17 I 0.172 0.554 0.754
18 I 0.328 0.554 0.254
19 I 0.828 0.446 0.246
20 I 0.672 0.446 0.746
21 I 0.101 0.252 0.750
22 I 0.399 0.252 0.250
23 I 0.899 0.748 0.250
24 I 0.601 0.748 0.750
25 I 0.910 0.753 0.578
26 I 0.590 0.753 0.078
27 I 0.090 0.247 0.422
28 I 0.410 0.247 0.922
29 I 0.815 0.045 0.714
30 I 0.685 0.045 0.214
31 I 0.185 0.955 0.286
32 I 0.315 0.955 0.786
33 I 0.693 0.042 0.889
34 I 0.807 0.042 0.389
35 I 0.307 0.958 0.111
36 I 0.193 0.958 0.611
37 I 0.197 0.965 0.948
38 I 0.303 0.965 0.448
39 I 0.803 0.035 0.052
40 I 0.697 0.035 0.552
41 I 0.916 0.748 0.922
42 I 0.584 0.748 0.422
43 I 0.084 0.252 0.078
44 I 0.416 0.252 0.578
45 N 0.024 0.759 0.775
46 N 0.476 0.759 0.275
47 N 0.976 0.241 0.225
48 N 0.524 0.241 0.725
49 N 0.969 0.258 0.890
50 N 0.531 0.258 0.390
51 N 0.031 0.742 0.110
52 N 0.469 0.742 0.610
53 N 0.020 0.752 0.436
54 N 0.480 0.752 0.936
55 N 0.980 0.248 0.564
56 N 0.520 0.248 0.064

Output
crystal system: monoclinic
spin magnetization: 0.46 Bohr magnetons per cell
space-group type: P2_1/c
volume: 39.0 A^3/atom
E (MP2020): -2.082 eV/atom



# 12
Here is a relaxed structure of USbPd from the Materials Project. Energies are from GGA-PBE.

a = 4.662 Å, b = 4.662 Å, c = 7.313 Å
α = 90.00°, β = 90.00°, γ = 120.00°
Fractional coordinates of all 6 atoms:
1 U 0.000 0.000 0.500
2 U 0.000 0.000 0.000
3 Sb 0.333 0.667 0.250
4 Sb 0.667 0.333 0.750
5 Pd 0.333 0.667 0.750
6 Pd 0.667 0.333 0.250

Output
crystal system: hexagonal
spin magnetization: 6.00 Bohr magnetons per cell
space-group type: P6_3/mmc
volume: 22.9 A^3/atom



no.,formation energy from the elements (meV/atom)
1,-332
2,-707
3,950
4,-1030
5,-3248
6,-266
7,0
8,-2255
9,-424
10,-1793
11,1274
12,-418